(1)
This record from the Materials Project describes an optimized crystal structure of Na3Zn2Mo3O12. The functional is PBE+U.

a b c (Å): 12.251 14.077 7.315
angles (deg): 90.00 114.01 90.00
Space group C2/c (No. 15)
Symmetry-distinct sites (fractional):
Na: 0.000 0.000 0.000 x4
Na: 0.000 0.235 0.250 x4
Na: 0.000 0.477 0.750 x4
Zn: 0.212 0.345 0.127 x8
Mo: 0.000 0.222 0.750 x4
Mo: 0.228 0.397 0.620 x8
O: 0.045 0.299 0.980 x8
O: 0.113 0.136 0.737 x8
O: 0.118 0.079 0.306 x8
O: 0.147 0.491 0.087 x8
O: 0.173 0.335 0.385 x8
O: 0.213 0.329 0.819 x8

---

(2)
This record from the Materials Project describes an optimized crystal structure of Li2Mn4O7F. The functional is PBE+U.

a b c (Å): 10.121 6.105 5.974
angles (deg): 90.00 125.43 90.00
Space group Cm (No. 8)
Symmetry-distinct sites (fractional):
Li: 0.000 0.000 0.000 x2
Li: 0.115 0.500 0.864 x2
Mn: 0.117 0.500 0.357 x2
Mn: 0.230 0.000 0.724 x2
Mn: 0.364 0.244 0.371 x4
O: 0.097 0.275 0.577 x4
O: 0.134 0.276 0.149 x4
O: 0.357 0.500 0.576 x2
O: 0.368 0.000 0.590 x2
O: 0.376 0.000 0.142 x2
F: 0.363 0.500 0.123 x2

---

(3)
This record from the Materials Project describes an optimized crystal structure of NaSrZrVO6. The functional is PBE+U.

a b c (Å): 7.989 7.989 7.989
angles (deg): 90.00 90.00 90.00
Space group F-43m (No. 216)
Symmetry-distinct sites (fractional):
Na: 0.000 0.000 0.000 x4
Sr: 0.000 0.000 0.500 x4
Zr: 0.250 0.250 0.750 x4
V: 0.250 0.250 0.250 x4
O: 0.012 0.250 0.250 x24

---

(4)
This record from the Materials Project describes an optimized crystal structure of Li4Co3Sn5O16. The functional is PBE+U.

a b c (Å): 6.148 10.599 11.580
angles (deg): 62.92 74.69 89.32
Space group P1 (No. 1)
Symmetry-distinct sites (fractional):
Li: 0.000 0.000 0.000 x1
Li: 0.009 0.392 0.906 x1
Li: 0.226 0.252 0.512 x1
Li: 0.261 0.970 0.418 x1
Li: 0.496 0.500 0.999 x1
Li: 0.506 0.892 0.905 x1
Li: 0.733 0.754 0.513 x1
Li: 0.758 0.470 0.418 x1
Co: 0.102 0.979 0.724 x1
Co: 0.111 0.812 0.229 x1
Co: 0.351 0.236 0.729 x1
Co: 0.604 0.481 0.723 x1
Co: 0.609 0.311 0.229 x1
Co: 0.859 0.739 0.729 x1
Sn: 0.098 0.312 0.229 x1
Sn: 0.206 0.594 0.510 x1
Sn: 0.348 0.732 0.728 x1
Sn: 0.353 0.567 0.226 x1
Sn: 0.456 0.180 0.999 x1
Sn: 0.603 0.813 0.228 x1
Sn: 0.709 0.096 0.509 x1
Sn: 0.848 0.233 0.729 x1
Sn: 0.856 0.065 0.230 x1
Sn: 0.962 0.679 0.998 x1
O: 0.019 0.089 0.359 x1
O: 0.040 0.598 0.857 x1
O: 0.063 0.105 0.819 x1
O: 0.066 0.606 0.348 x1
O: 0.156 0.025 0.117 x1
O: 0.156 0.864 0.617 x1
O: 0.161 0.373 0.607 x1
O: 0.173 0.538 0.106 x1
O: 0.259 0.821 0.862 x1
O: 0.282 0.820 0.348 x1
O: 0.304 0.350 0.327 x1
O: 0.305 0.320 0.852 x1
O: 0.395 0.790 0.120 x1
O: 0.408 0.290 0.111 x1
O: 0.415 0.134 0.617 x1
O: 0.433 0.626 0.605 x1
O: 0.514 0.592 0.358 x1
O: 0.540 0.099 0.859 x1
O: 0.563 0.593 0.815 x1
O: 0.569 0.084 0.361 x1
O: 0.654 0.378 0.623 x1
O: 0.656 0.542 0.110 x1
O: 0.663 0.870 0.614 x1
O: 0.673 0.037 0.109 x1
O: 0.751 0.332 0.855 x1
O: 0.794 0.318 0.357 x1
O: 0.800 0.816 0.856 x1
O: 0.823 0.842 0.326 x1
O: 0.911 0.628 0.617 x1
O: 0.917 0.283 0.114 x1
O: 0.920 0.793 0.115 x1
O: 0.922 0.130 0.606 x1

Results
Relative energy among the computed polymorphs = 0 meV/atom

---

Values for calculated formation energy, eV per atom, ordered as above
-1.98, -2.13, -2.95, -1.95